Computed, not measured: an optimized crystal structure of BaSrCeZrO6 at the GGA-PBE level of DFT.

a = 8.603 Å, b = 8.611 Å, c = 8.619 Å
α = 90.00°, β = 90.00°, γ = 90.00°
Space group P222 (No. 16)
Unique sites:
Ba  0.000  0.000  0.000 x1
Ba  0.000  0.000  0.500 x1
Ba  0.500  0.000  0.000 x1
Ba  0.500  0.500  0.500 x1
Sr  0.000  0.500  0.000 x1
Sr  0.000  0.500  0.500 x1
Sr  0.500  0.000  0.500 x1
Sr  0.500  0.500  0.000 x1
Ce  0.250  0.253  0.250 x4
Zr  0.250  0.253  0.749 x4
O  0.007  0.224  0.723 x4
O  0.215  0.285  0.993 x4
O  0.215  0.493  0.709 x4
O  0.275  0.008  0.778 x4
O  0.290  0.218  0.508 x4
O  0.492  0.291  0.786 x4

Values from the calculation:
The mass density comes out at 5.7 g cm⁻³. Its energy above the lowest structure with this stoichiometry is 0.61 kJ per mole of atoms. The calculation puts the total moment at 0.00 μB/f.u. The energy of formation from the pure elements comes out at -3471 kJ/mol of formula units.



Computed, not measured: an optimized crystal structure of Ba5Ce4YO15 at the GGA-PBE level of DFT.

a = 6.298 Å, b = 10.878 Å, c = 14.004 Å
α = 74.94°, β = 77.20°, γ = 73.78°
Space group P-1 (No. 2)
Unique sites:
Ba  0.005  0.247  0.248 x2
Ba  0.193  0.156  0.953 x2
Ba  0.204  0.649  0.448 x2
Ba  0.395  0.551  0.150 x2
Ba  0.408  0.046  0.645 x2
Ce  0.199  0.400  0.702 x2
Ce  0.199  0.900  0.202 x2
Ce  0.401  0.298  0.401 x2
Ce  0.401  0.798  0.901 x2
Y  0.000  0.000  0.500 x1
Y  0.000  0.500  0.000 x1
O  0.053  0.223  0.726 x2
O  0.061  0.420  0.858 x2
O  0.073  0.930  0.857 x2
O  0.126  0.469  0.344 x2
O  0.141  0.979  0.338 x2
O  0.152  0.177  0.471 x2
O  0.252  0.627  0.928 x2
O  0.258  0.819  0.062 x2
O  0.278  0.329  0.056 x2
O  0.328  0.867  0.544 x2
O  0.340  0.381  0.541 x2
O  0.349  0.577  0.673 x2
O  0.452  0.025  0.126 x2
O  0.458  0.219  0.260 x2
O  0.474  0.730  0.256 x2

Values from the calculation:
The mass density comes out at 6.0 g cm⁻³. The calculation puts the total moment at 1.00 μB/f.u. The energy of formation from the pure elements comes out at -8435 kJ/mol of formula units.



Computed, not measured: an optimized crystal structure of BaCe2S4 at the GGA-PBE level of DFT.

a = 8.874 Å, b = 8.874 Å, c = 8.829 Å
α = 90.00°, β = 90.00°, γ = 90.00°
Space group I-42d (No. 122)
Unique sites:
Ba  0.000  0.000  0.000 x4
Ce  0.123  0.250  0.625 x8
S  0.078  0.167  0.315 x16

Values from the calculation:
The mass density comes out at 5.2 g cm⁻³. The calculation puts the total moment at 2.00 μB/f.u. The energy of formation from the pure elements comes out at -1540 kJ/mol of formula units.



Computed, not measured: an optimized crystal structure of BaCeSn2S6 at the GGA-PBE level of DFT.

a = 4.100 Å, b = 19.899 Å, c = 12.092 Å
α = 90.00°, β = 90.00°, γ = 90.00°
Space group Pmc2_1 (No. 26)
Unique sites:
Ba  0.000  0.080  0.000 x2
Ba  0.000  0.360  0.435 x2
Ce  0.000  0.118  0.365 x2
Ce  0.000  0.418  0.054 x2
Sn  0.000  0.253  0.783 x2
Sn  0.500  0.092  0.676 x2
Sn  0.500  0.248  0.181 x2
Sn  0.500  0.424  0.730 x2
S  0.000  0.015  0.744 x2
S  0.000  0.167  0.601 x2
S  0.000  0.259  0.062 x2
S  0.000  0.491  0.777 x2
S  0.500  0.043  0.474 x2
S  0.500  0.119  0.189 x2
S  0.500  0.164  0.853 x2
S  0.500  0.231  0.383 x2
S  0.500  0.317  0.634 x2
S  0.500  0.363  0.916 x2
S  0.500  0.376  0.215 x2
S  0.500  0.478  0.533 x2

Values from the calculation:
The mass density comes out at 4.8 g cm⁻³. The calculation puts the total moment at 0.89 μB/f.u. The energy of formation from the pure elements comes out at -1410 kJ/mol of formula units.



Computed, not measured: an optimized crystal structure of BaCeSn2Se6 at the GGA-PBE level of DFT.

a = 4.290 Å, b = 20.453 Å, c = 12.530 Å
α = 90.00°, β = 90.00°, γ = 90.00°
Space group Pmc2_1 (No. 26)
Unique sites:
Ba  0.000  0.079  0.000 x2
Ba  0.000  0.360  0.435 x2
Ce  0.000  0.119  0.365 x2
Ce  0.000  0.419  0.058 x2
Sn  0.000  0.254  0.785 x2
Sn  0.500  0.093  0.678 x2
Sn  0.500  0.248  0.180 x2
Sn  0.500  0.424  0.728 x2
Se  0.000  0.013  0.747 x2
Se  0.000  0.170  0.598 x2
Se  0.000  0.262  0.054 x2
Se  0.000  0.496  0.776 x2
Se  0.500  0.042  0.471 x2
Se  0.500  0.117  0.189 x2
Se  0.500  0.166  0.861 x2
Se  0.500  0.230  0.391 x2
Se  0.500  0.312  0.632 x2
Se  0.500  0.360  0.920 x2
Se  0.500  0.379  0.220 x2
Se  0.500  0.478  0.524 x2

Values from the calculation:
The mass density comes out at 6.0 g cm⁻³. The calculation puts the total moment at 0.91 μB/f.u. The energy of formation from the pure elements comes out at -1319 kJ/mol of formula units.



Computed, not measured: an optimized crystal structure of CsBa3Ga5Se10Cl2 at the GGA-PBE level of DFT.

a = 8.855 Å, b = 8.935 Å, c = 10.145 Å
α = 115.91°, β = 115.77°, γ = 90.32°
Space group P1 (No. 1)
Unique sites:
Cs  0.000  0.000  0.000 x1
Ba  0.097  0.831  0.457 x1
Ba  0.261  0.475  0.996 x1
Ba  0.619  0.105  0.456 x1
Ga  0.215  0.424  0.555 x1
Ga  0.482  0.882  0.896 x1
Ga  0.599  0.619  0.560 x1
Ga  0.670  0.501  0.898 x1
Ga  0.746  0.355  0.227 x1
Se  0.191  0.698  0.742 x1
Se  0.316  0.423  0.369 x1
Se  0.392  0.286  0.709 x1
Se  0.462  0.160  0.081 x1
Se  0.553  0.902  0.697 x1
Se  0.661  0.781  0.084 x1
Se  0.692  0.635  0.371 x1
Se  0.802  0.514  0.736 x1
Se  0.881  0.417  0.085 x1
Se  0.933  0.226  0.381 x1
Cl  0.260  0.841  0.241 x1
Cl  0.990  0.110  0.706 x1

Values from the calculation:
The mass density comes out at 4.6 g cm⁻³. The calculation puts the total moment at 0.00 μB/f.u. The energy of formation from the pure elements comes out at -2684 kJ/mol of formula units.



Computed, not measured: an optimized crystal structure of Ba2CuClO2 at the GGA-PBE level of DFT.

a = 4.3303 Å, b = 4.3303 Å, c = 28.8256 Å
α = 90.00°, β = 90.00°, γ = 120.00°
Space group R-3m (No. 166, hexagonal axes)
Unique sites:
Ba  0.0000  0.0000  0.2451 x6
Cu  0.0000  0.0000  0.0000 x3
Cl  0.0000  0.0000  0.5000 x3
O  0.0000  0.0000  0.0630 x6

Values from the calculation:
The mass density comes out at 4.3 g cm⁻³. The calculation puts the total moment at 0.00 μB/f.u. The energy of formation from the pure elements comes out at -1359 kJ/mol of formula units.



Computed, not measured: an optimized crystal structure of Ba2Cu4Te4Cl4O11 at the GGA-PBE level of DFT.

a = 9.389 Å, b = 9.407 Å, c = 12.382 Å
α = 110.91°, β = 98.36°, γ = 108.21°
Space group P-1 (No. 2)
Unique sites:
Ba  0.019  0.280  0.051 x2
Ba  0.479  0.216  0.942 x2
Cu  0.188  0.401  0.829 x2
Cu  0.233  0.094  0.515 x2
Cu  0.309  0.446  0.483 x2
Cu  0.314  0.101  0.171 x2
Te  0.026  0.975  0.742 x2
Te  0.218  0.779  0.259 x2
Te  0.271  0.745  0.761 x2
Te  0.449  0.524  0.236 x2
Cl  0.129  0.463  0.348 x2
Cl  0.162  0.314  0.582 x2
Cl  0.372  0.039  0.642 x2
Cl  0.469  0.301  0.417 x2
O  0.021  0.619  0.147 x2
O  0.088  0.055  0.146 x2
O  0.127  0.950  0.338 x2
O  0.166  0.196  0.850 x2
O  0.194  0.907  0.845 x2
O  0.229  0.636  0.862 x2
O  0.277  0.871  0.150 x2
O  0.308  0.590  0.155 x2
O  0.329  0.295  0.134 x2
O  0.417  0.452  0.862 x2
O  0.480  0.885  0.860 x2

Values from the calculation:
The mass density comes out at 4.9 g cm⁻³. Its energy above the lowest structure with this stoichiometry is 0.00 kJ per mole of atoms. The calculation puts the total moment at 2.00 μB/f.u. The energy of formation from the pure elements comes out at -3759 kJ/mol of formula units.



Computed, not measured: an optimized crystal structure of BaCu2Te2Cl2O6 at the GGA-PBE level of DFT.

a = 7.528 Å, b = 7.575 Å, c = 8.377 Å
α = 90.00°, β = 97.36°, γ = 90.00°
Space group P2_1 (No. 4)
Unique sites:
Ba  0.136  0.000  0.067 x2
Cu  0.311  0.027  0.597 x2
Cu  0.360  0.498  0.085 x2
Te  0.131  0.370  0.393 x2
Te  0.342  0.652  0.766 x2
Cl  0.115  0.261  0.763 x2
Cl  0.454  0.727  0.383 x2
O  0.125  0.843  0.632 x2
O  0.154  0.388  0.168 x2
O  0.186  0.125  0.397 x2
O  0.199  0.663  0.942 x2
O  0.449  0.886  0.767 x2
O  0.478  0.065  0.068 x2

Values from the calculation:
The mass density comes out at 4.8 g cm⁻³. The calculation puts the total moment at 0.00 μB/f.u. The energy of formation from the pure elements comes out at -1959 kJ/mol of formula units.



Computed, not measured: an optimized crystal structure of Ba2DyCl7 at the GGA-PBE level of DFT.

a = 6.911 Å, b = 15.726 Å, c = 10.645 Å
α = 90.00°, β = 90.71°, γ = 90.00°
Space group P2_1/c (No. 14)
Unique sites:
Ba  0.235  0.061  0.324 x4
Ba  0.235  0.720  0.451 x4
Dy  0.283  0.127  0.782 x4
Cl  0.012  0.243  0.302 x4
Cl  0.014  0.105  0.586 x4
Cl  0.206  0.540  0.287 x4
Cl  0.210  0.140  0.028 x4
Cl  0.371  0.571  0.624 x4
Cl  0.499  0.228  0.294 x4
Cl  0.500  0.105  0.572 x4

Values from the calculation:
The mass density comes out at 3.9 g cm⁻³. The energy of formation from the pure elements comes out at -2771 kJ/mol of formula units.